ErGaCo: optimized geometry, PBE.

Structure (POSCAR):
```
ErGaCo
1.0
6.672 0.000 0.000
0.000 4.081 0.000
0.000 0.000 7.629
Er Ga Co
4 4 4
direct
0.027 0.250 0.184
0.473 0.750 0.684
0.527 0.250 0.316
0.973 0.750 0.816
0.153 0.250 0.564
0.347 0.750 0.064
0.653 0.250 0.936
0.847 0.750 0.436
0.229 0.750 0.381
0.271 0.250 0.881
0.729 0.750 0.119
0.771 0.250 0.619
```

- calculated volume (Å³/f.u.) = 51.9
- VASP energy (eV/atom) = -5.40
- crystal system = orthorhombic
- symmetry = Pnma, No. 62

---

ErGa2Co3: optimized geometry, PBE.

Structure (POSCAR):
```
ErGa2Co3
1.0
8.928 0.000 0.000
-4.464 7.731 0.000
0.000 0.000 3.837
Er Ga Co
3 6 9
direct
0.000 0.000 0.000
0.333 0.667 0.500
0.667 0.333 0.500
0.000 0.315 0.500
0.000 0.685 0.500
0.315 0.000 0.500
0.315 0.315 0.500
0.685 0.000 0.500
0.685 0.685 0.500
0.000 0.500 0.000
0.183 0.366 0.000
0.183 0.817 0.000
0.366 0.183 0.000
0.500 0.000 0.000
0.500 0.500 0.000
0.634 0.817 0.000
0.817 0.183 0.000
0.817 0.634 0.000
```

- calculated volume (Å³/f.u.) = 88.3
- VASP energy (eV/atom) = -5.71
- crystal system = hexagonal
- symmetry = P6/mmm, No. 191

---

Er3GaCoS7: optimized geometry, PBE.

Structure (POSCAR):
```
Er3GaCoS7
1.0
9.478 0.000 0.000
-4.739 8.208 0.000
0.000 0.000 6.121
Er Ga Co S
6 2 2 14
direct
0.155 0.373 0.000
0.218 0.845 0.000
0.373 0.218 0.500
0.627 0.782 0.000
0.782 0.155 0.500
0.845 0.627 0.500
0.333 0.667 0.428
0.667 0.333 0.928
0.000 0.000 0.333
0.000 0.000 0.833
0.084 0.566 0.268
0.097 0.226 0.591
0.128 0.903 0.591
0.226 0.128 0.091
0.333 0.667 0.796
0.434 0.518 0.268
0.482 0.916 0.268
0.518 0.084 0.768
0.566 0.482 0.768
0.667 0.333 0.296
0.774 0.872 0.591
0.872 0.097 0.091
0.903 0.774 0.091
0.916 0.434 0.768
```

- calculated volume (Å³/f.u.) = 238.1
- VASP energy (eV/atom) = -5.85
- crystal system = hexagonal
- symmetry = P6_3, No. 173

---

Er2Co3Ge5: optimized geometry, PBE.

Structure (POSCAR):
```
Er2Co3Ge5
1.0
5.496 -5.873 0.000
5.496 5.873 0.000
-2.775 0.000 4.968
Er Co Ge
4 6 10
direct
0.091 0.373 0.232
0.373 0.091 0.732
0.627 0.909 0.268
0.909 0.627 0.768
0.044 0.761 0.380
0.239 0.956 0.120
0.497 0.503 0.250
0.503 0.497 0.750
0.761 0.044 0.880
0.956 0.239 0.620
0.009 0.991 0.750
0.238 0.419 0.826
0.274 0.726 0.750
0.287 0.713 0.250
0.419 0.238 0.326
0.581 0.762 0.674
0.713 0.287 0.750
0.726 0.274 0.250
0.762 0.581 0.174
0.991 0.009 0.250
```

- calculated volume (Å³/f.u.) = 160.4
- VASP energy (eV/atom) = -5.93
- crystal system = monoclinic
- symmetry = C2/c, No. 15

---

Er2CoGe2: optimized geometry, PBE.

Structure (POSCAR):
```
Er2CoGe2
1.0
5.193 -2.088 0.000
5.193 2.088 0.000
-4.749 0.000 8.897
Er Co Ge
4 2 4
direct
0.006 0.006 0.332
0.187 0.187 0.111
0.813 0.813 0.889
0.994 0.994 0.668
0.275 0.275 0.641
0.725 0.725 0.359
0.348 0.348 0.434
0.487 0.487 0.125
0.513 0.513 0.875
0.652 0.652 0.566
```

- calculated volume (Å³/f.u.) = 96.5
- VASP energy (eV/atom) = -5.85
- crystal system = monoclinic
- symmetry = C2/m, No. 12

---

ErCoGe: optimized geometry, PBE.

Structure (POSCAR):
```
ErCoGe
1.0
6.809 0.000 0.000
0.000 4.205 0.000
0.000 0.000 7.209
Er Co Ge
4 4 4
direct
0.008 0.250 0.198
0.492 0.750 0.698
0.508 0.250 0.302
0.992 0.750 0.802
0.167 0.750 0.427
0.333 0.250 0.927
0.667 0.750 0.073
0.833 0.250 0.573
0.200 0.250 0.599
0.300 0.750 0.099
0.700 0.250 0.901
0.800 0.750 0.401
```

- calculated volume (Å³/f.u.) = 51.6
- VASP energy (eV/atom) = -6.11
- crystal system = orthorhombic
- symmetry = Pnma, No. 62

---

ErCo4Ge2: optimized geometry, PBE.

Structure (POSCAR):
```
ErCo4Ge2
1.0
7.220 0.000 0.000
0.000 7.220 0.000
0.000 0.000 3.705
Er Co Ge
2 8 4
direct
0.000 0.000 0.000
0.500 0.500 0.500
0.082 0.354 0.500
0.146 0.582 0.000
0.354 0.082 0.500
0.418 0.854 0.000
0.582 0.146 0.000
0.646 0.918 0.500
0.854 0.418 0.000
0.918 0.646 0.500
0.221 0.779 0.500
0.279 0.279 0.000
0.721 0.721 0.000
0.779 0.221 0.500
```

- calculated volume (Å³/f.u.) = 96.6
- VASP energy (eV/atom) = -6.43
- crystal system = tetragonal
- symmetry = P4_2/mnm, No. 136

---

ErCo3Ge2: optimized geometry, PBE.

Structure (POSCAR):
```
ErCo3Ge2
1.0
5.245 0.000 0.000
-2.623 4.542 0.000
0.000 0.000 3.684
Er Co Ge
1 3 2
direct
0.000 0.000 0.000
0.000 0.500 0.571
0.500 0.000 0.571
0.500 0.500 0.571
0.333 0.667 0.074
0.667 0.333 0.074
```

- calculated volume (Å³/f.u.) = 87.8
- VASP energy (eV/atom) = -6.34
- crystal system = hexagonal
- symmetry = P6mm, No. 183

---

Er7CoI12: optimized geometry, PBE.

Structure (POSCAR):
```
Er7CoI12
1.0
7.760 4.480 3.620
-7.760 4.480 3.620
0.000 -8.961 3.620
Er Co I
7 1 12
direct
0.000 0.000 0.000
0.215 0.410 0.479
0.410 0.479 0.215
0.479 0.215 0.410
0.521 0.785 0.590
0.590 0.521 0.785
0.785 0.590 0.521
0.500 0.500 0.500
0.037 0.339 0.113
0.113 0.037 0.339
0.177 0.724 0.571
0.276 0.429 0.823
0.339 0.113 0.037
0.429 0.823 0.276
0.571 0.177 0.724
0.661 0.887 0.963
0.724 0.571 0.177
0.823 0.276 0.429
0.887 0.963 0.661
0.963 0.661 0.887
```

- calculated volume (Å³/f.u.) = 755.1
- VASP energy (eV/atom) = -4.07
- crystal system = trigonal
- symmetry = R-3, No. 148

---

ErIn5Co: optimized geometry, PBE.

Structure (POSCAR):
```
ErIn5Co
1.0
4.577 0.000 0.000
0.000 4.577 0.000
0.000 0.000 7.517
Er In Co
1 5 1
direct
0.000 0.000 0.000
0.000 0.500 0.306
0.000 0.500 0.694
0.500 0.000 0.306
0.500 0.000 0.694
0.500 0.500 0.000
0.000 0.000 0.500
```

- calculated volume (Å³/f.u.) = 157.5
- VASP energy (eV/atom) = -3.85
- crystal system = tetragonal
- symmetry = P4/mmm, No. 123

---

ErInCo4: optimized geometry, PBE.

Structure (POSCAR):
```
ErInCo4
1.0
0.000 3.514 3.514
3.514 0.000 3.514
3.514 3.514 0.000
Er In Co
1 1 4
direct
0.000 0.000 0.000
0.750 0.750 0.750
0.375 0.375 0.375
0.375 0.375 0.874
0.375 0.874 0.375
0.874 0.375 0.375
```

- calculated volume (Å³/f.u.) = 86.8
- VASP energy (eV/atom) = -6.12
- crystal system = cubic
- symmetry = F-43m, No. 216

---

Er2CoIr: optimized geometry, PBE.

Structure (POSCAR):
```
Er2CoIr
1.0
6.731 0.000 0.000
0.000 6.731 0.000
0.000 0.000 6.731
Er Co Ir
8 4 4
direct
0.250 0.250 0.250
0.250 0.250 0.750
0.250 0.750 0.250
0.250 0.750 0.750
0.750 0.250 0.250
0.750 0.250 0.750
0.750 0.750 0.250
0.750 0.750 0.750
0.000 0.000 0.000
0.000 0.500 0.500
0.500 0.000 0.500
0.500 0.500 0.000
0.000 0.000 0.500
0.000 0.500 0.000
0.500 0.000 0.000
0.500 0.500 0.500
```

- calculated volume (Å³/f.u.) = 76.2
- VASP energy (eV/atom) = -6.85
- crystal system = cubic
- symmetry = Fm-3m, No. 225

---

Er4MgCo: optimized geometry, PBE.

Structure (POSCAR):
```
Er4MgCo
1.0
0.000 6.687 6.687
6.687 0.000 6.687
6.687 6.687 0.000
Er Mg Co
16 4 4
direct
0.033 0.656 0.656
0.062 0.062 0.438
0.062 0.438 0.062
0.062 0.438 0.438
0.187 0.187 0.813
0.187 0.813 0.187
0.187 0.813 0.813
0.438 0.062 0.062
0.438 0.062 0.438
0.438 0.438 0.062
0.656 0.033 0.656
0.656 0.656 0.033
0.656 0.656 0.656
0.813 0.187 0.187
0.813 0.187 0.813
0.813 0.813 0.187
0.420 0.420 0.420
0.420 0.420 0.739
0.420 0.739 0.420
0.739 0.420 0.420
0.421 0.860 0.860
0.860 0.421 0.860
0.860 0.860 0.421
0.860 0.860 0.860
```

- calculated volume (Å³/f.u.) = 149.5
- VASP energy (eV/atom) = -4.65
- crystal system = cubic
- symmetry = F-43m, No. 216

---

ErCoNi: optimized geometry, PBE.

Structure (POSCAR):
```
ErCoNi
1.0
4.979 0.000 0.000
0.000 4.993 0.000
0.000 0.000 7.134
Er Co Ni
4 4 4
direct
0.000 0.250 0.127
0.000 0.750 0.873
0.500 0.250 0.373
0.500 0.750 0.627
0.000 0.000 0.500
0.000 0.500 0.500
0.500 0.000 0.000
0.500 0.500 0.000
0.250 0.250 0.750
0.250 0.750 0.250
0.750 0.250 0.750
0.750 0.750 0.250
```

- calculated volume (Å³/f.u.) = 44.3
- VASP energy (eV/atom) = -6.16
- crystal system = orthorhombic
- symmetry = Imma, No. 74

---

ErCo3Ni2: optimized geometry, PBE.

Structure (POSCAR):
```
ErCo3Ni2
1.0
4.813 0.000 0.000
-2.406 4.168 0.000
0.000 0.000 4.027
Er Co Ni
1 3 2
direct
0.000 0.000 0.000
0.000 0.500 0.500
0.500 0.000 0.500
0.500 0.500 0.500
0.333 0.667 0.000
0.667 0.333 0.000
```

- calculated volume (Å³/f.u.) = 80.8
- VASP energy (eV/atom) = -6.45
- crystal system = hexagonal
- symmetry = P6/mmm, No. 191

---

ErCo5P3: optimized geometry, PBE.

Structure (POSCAR):
```
ErCo5P3
1.0
11.699 0.000 0.000
0.000 3.633 0.000
0.000 0.000 10.251
Er Co P
4 20 12
direct
0.203 0.250 0.083
0.297 0.750 0.583
0.703 0.250 0.417
0.797 0.750 0.917
0.009 0.750 0.717
0.013 0.750 0.093
0.068 0.750 0.468
0.176 0.250 0.779
0.198 0.250 0.383
0.302 0.750 0.883
0.324 0.750 0.279
0.432 0.250 0.968
0.487 0.250 0.593
0.491 0.250 0.217
0.509 0.750 0.783
0.513 0.750 0.407
0.568 0.750 0.032
0.676 0.250 0.721
0.698 0.250 0.117
0.802 0.750 0.617
0.824 0.750 0.221
0.932 0.250 0.532
0.987 0.250 0.907
0.991 0.250 0.283
0.109 0.750 0.899
0.112 0.250 0.582
0.130 0.750 0.270
0.370 0.250 0.770
0.388 0.750 0.082
0.391 0.250 0.399
0.609 0.750 0.601
0.612 0.250 0.918
0.630 0.750 0.230
0.870 0.250 0.730
0.888 0.750 0.418
0.891 0.250 0.101
```

- calculated volume (Å³/f.u.) = 108.9
- VASP energy (eV/atom) = -7.11
- crystal system = orthorhombic
- symmetry = Pnma, No. 62

---

Er6Co30P19: optimized geometry, PBE.

Structure (POSCAR):
```
Er6Co30P19
1.0
14.685 0.000 0.000
-7.343 12.718 0.000
0.000 0.000 3.569
Er Co P
6 30 19
direct
0.038 0.764 0.000
0.236 0.274 0.000
0.431 0.059 0.500
0.629 0.569 0.500
0.726 0.962 0.000
0.941 0.371 0.500
0.062 0.622 0.500
0.068 0.250 0.500
0.108 0.015 0.000
0.109 0.393 0.000
0.176 0.537 0.500
0.182 0.932 0.500
0.221 0.692 0.000
0.260 0.130 0.500
0.284 0.891 0.000
0.308 0.529 0.000
0.362 0.824 0.500
0.378 0.440 0.500
0.407 0.202 0.000
0.463 0.638 0.500
0.471 0.779 0.000
0.483 0.401 0.000
0.558 0.319 0.500
0.560 0.938 0.500
0.599 0.082 0.000
0.607 0.716 0.000
0.681 0.239 0.500
0.750 0.818 0.500
0.761 0.442 0.500
0.795 0.593 0.000
0.798 0.205 0.000
0.870 0.130 0.500
0.870 0.740 0.500
0.906 0.892 0.000
0.918 0.517 0.000
0.985 0.094 0.000
0.016 0.898 0.500
0.078 0.532 0.000
0.102 0.117 0.500
0.198 0.787 0.500
0.213 0.410 0.500
0.271 0.037 0.000
0.333 0.667 0.500
0.395 0.296 0.500
0.454 0.922 0.000
0.468 0.546 0.000
0.566 0.215 0.000
0.590 0.802 0.500
0.650 0.434 0.000
0.704 0.099 0.500
0.767 0.729 0.000
0.785 0.350 0.000
0.883 0.984 0.500
0.901 0.605 0.500
0.963 0.233 0.000
```

- calculated volume (Å³/f.u.) = 666.6
- VASP energy (eV/atom) = -7.09
- crystal system = hexagonal
- symmetry = P-6, No. 174

---

Density (g/cm³)
9.5; 9.1; 6.0; 9.1; 9.3; 9.6; 9.4; 9.3; 6.1; 8.4; 9.9; 12.8; 8.4; 10.7; 9.5; 8.5; 8.4